Density functional theory data (PBE-GGA) for crystalline MgSi2 at its relaxed geometry.

Theoretical density ... 2.570 g/cm³
Energy above the most stable polymorph in this dataset ... 0.1435 eV per atom
Symmetry ... No. 11
Formation enthalpy at 0 K ... 21.34 kJ/mol of atoms

POSCAR file:
```
MgSi2
1.0
4.463 0.000 0.000
0.000 3.643 0.000
-1.198 0.000 6.395
Mg Si
2 4
Direct
0.065 0.250 0.200
0.935 0.750 0.800
0.340 0.750 0.535
0.446 0.250 0.869
0.554 0.750 0.131
0.660 0.250 0.465
```